Density functional theory data (meta-GGA r2SCAN) for a relaxed B crystal.

## Properties
The calculation puts the polymorph energy (0 for the lowest one) at 29 meV/atom. As for the symmetry: No. 58. The formation energy comes out at 0.0291 eV per atom.

abc: 5.032 5.600 6.939
angles: 90.00 90.00 90.00
Sites, in units of the cell vectors:
B (0.148, 0.229, 0.000)
B (0.153, 0.407, 0.208)
B (0.153, 0.407, 0.792)
B (0.161, 0.719, 0.125)
B (0.161, 0.719, 0.875)
B (0.164, 0.992, 0.500)
B (0.170, 0.480, 0.500)
B (0.330, 0.980, 0.000)
B (0.336, 0.492, 0.000)
B (0.339, 0.219, 0.375)
B (0.339, 0.219, 0.625)
B (0.347, 0.907, 0.292)
B (0.347, 0.907, 0.708)
B (0.352, 0.729, 0.500)
B (0.648, 0.271, 0.500)
B (0.653, 0.093, 0.292)
B (0.653, 0.093, 0.708)
B (0.661, 0.781, 0.375)
B (0.661, 0.781, 0.625)
B (0.664, 0.508, 0.000)
B (0.670, 0.020, 0.000)
B (0.830, 0.520, 0.500)
B (0.836, 0.008, 0.500)
B (0.839, 0.281, 0.125)
B (0.839, 0.281, 0.875)
B (0.847, 0.593, 0.208)
B (0.847, 0.593, 0.792)
B (0.852, 0.771, 0.000)

---

Density functional theory data (meta-GGA r2SCAN) for a relaxed Sm2In crystal.

## Properties
As for the symmetry: No. 194. The formation energy comes out at -0.4802 eV per atom.

abc: 5.496 5.496 6.851
angles: 90.00 90.00 120.00
Sites, in units of the cell vectors:
Sm (0.000, 0.000, 0.000)
Sm (0.000, 0.000, 0.500)
Sm (0.333, 0.667, 0.250)
Sm (0.667, 0.333, 0.750)
In (0.333, 0.667, 0.750)
In (0.667, 0.333, 0.250)

---

Density functional theory data (meta-GGA r2SCAN) for a relaxed CeZnSi crystal.

## Properties
As for the symmetry: No. 187. The formation energy comes out at -0.6342 eV per atom.

abc: 4.165 4.165 4.270
angles: 90.00 90.00 120.00
Sites, in units of the cell vectors:
Ce (0.000, 0.000, 0.000)
Zn (0.333, 0.667, 0.500)
Si (0.667, 0.333, 0.500)

---

Density functional theory data (meta-GGA r2SCAN) for a relaxed YAlPd crystal.

## Properties
As for the symmetry: No. 189. The formation energy comes out at -0.9050 eV per atom.

abc: 7.148 7.148 4.041
angles: 90.00 90.00 120.00
Sites, in units of the cell vectors:
Y (0.000, 0.584, 0.000)
Y (0.416, 0.416, 0.000)
Y (0.584, 0.000, 0.000)
Al (0.000, 0.235, 0.500)
Al (0.235, 0.000, 0.500)
Al (0.765, 0.765, 0.500)
Pd (0.000, 0.000, 0.000)
Pd (0.333, 0.667, 0.500)
Pd (0.667, 0.333, 0.500)

---

Density functional theory data (meta-GGA r2SCAN) for a relaxed HoCr6Ge6 crystal.

## Properties
As for the symmetry: No. 191. The formation energy comes out at -0.0712 eV per atom.

abc: 5.063 5.063 8.255
angles: 90.00 90.00 120.00
Sites, in units of the cell vectors:
Ho (0.000, 0.000, 0.000)
Cr (0.000, 0.500, 0.250)
Cr (0.000, 0.500, 0.750)
Cr (0.500, 0.000, 0.250)
Cr (0.500, 0.000, 0.750)
Cr (0.500, 0.500, 0.250)
Cr (0.500, 0.500, 0.750)
Ge (0.000, 0.000, 0.346)
Ge (0.000, 0.000, 0.654)
Ge (0.333, 0.667, 0.000)
Ge (0.333, 0.667, 0.500)
Ge (0.667, 0.333, 0.000)
Ge (0.667, 0.333, 0.500)

---

Density functional theory data (meta-GGA r2SCAN) for a relaxed YCd2 crystal.

## Properties
As for the symmetry: No. 191. The formation energy comes out at -0.3813 eV per atom.

abc: 4.903 4.903 3.520
angles: 90.00 90.00 120.00
Sites, in units of the cell vectors:
Y (0.000, 0.000, 0.000)
Cd (0.333, 0.667, 0.500)
Cd (0.667, 0.333, 0.500)